# 1
! NaBrO3 (meta-GGA r2SCAN, optimized geometry); values from VASP
&SYSTEM
  ibrav = 0, nat = 20, ntyp = 3
/
ATOMIC_SPECIES
Na 22.99 Na.upf
Br 79.90 Br.upf
O 16.00 O.upf
ATOMIC_POSITIONS crystal
Na 0.079 0.079 0.079
Na 0.421 0.921 0.579
Na 0.579 0.421 0.921
Na 0.921 0.579 0.421
Br 0.097 0.597 0.903
Br 0.403 0.403 0.403
Br 0.597 0.903 0.097
Br 0.903 0.097 0.597
O 0.006 0.217 0.401
O 0.099 0.994 0.717
O 0.217 0.401 0.006
O 0.283 0.599 0.506
O 0.401 0.006 0.217
O 0.494 0.783 0.901
O 0.506 0.283 0.599
O 0.599 0.506 0.283
O 0.717 0.099 0.994
O 0.783 0.901 0.494
O 0.901 0.494 0.783
O 0.994 0.717 0.099
CELL_PARAMETERS angstrom
6.640 0.000 0.000
0.000 6.640 0.000
0.000 0.000 6.640
! - magnetic moment (μB per formula unit) = 0.000
! - calculated formation energy (kJ/mol of atoms) = -60.3
! - final energy (eV/atom) = -7.5731

=====

# 2
! Na3BrO (meta-GGA r2SCAN, optimized geometry); values from VASP
&SYSTEM
  ibrav = 0, nat = 5, ntyp = 3
/
ATOMIC_SPECIES
Na 22.99 Na.upf
Br 79.90 Br.upf
O 16.00 O.upf
ATOMIC_POSITIONS crystal
Na 0.000 0.000 0.500
Na 0.000 0.500 0.000
Na 0.500 0.000 0.000
Br 0.500 0.500 0.500
O 0.000 0.000 0.000
CELL_PARAMETERS angstrom
4.533 0.000 0.000
0.000 4.533 0.000
0.000 0.000 4.533
! - magnetic moment (μB per formula unit) = 0.068
! - calculated formation energy (kJ/mol of atoms) = -152.3
! - final energy (eV/atom) = -7.5629

=====

# 3
! Na3TbBr6 (meta-GGA r2SCAN, optimized geometry); values from VASP
&SYSTEM
  ibrav = 0, nat = 20, ntyp = 3
/
ATOMIC_SPECIES
Na 22.99 Na.upf
Tb 158.93 Tb.upf
Br 79.90 Br.upf
ATOMIC_POSITIONS crystal
Na 0.000 0.000 0.000
Na 0.000 0.500 0.500
Na 0.203 0.090 0.737
Na 0.203 0.410 0.237
Na 0.797 0.590 0.763
Na 0.797 0.910 0.263
Tb 0.500 0.000 0.500
Tb 0.500 0.500 0.000
Br 0.113 0.180 0.433
Br 0.113 0.320 0.933
Br 0.251 0.691 0.419
Br 0.251 0.809 0.919
Br 0.406 0.062 0.259
Br 0.406 0.438 0.759
Br 0.594 0.562 0.241
Br 0.594 0.938 0.741
Br 0.749 0.191 0.081
Br 0.749 0.309 0.581
Br 0.887 0.680 0.067
Br 0.887 0.820 0.567
CELL_PARAMETERS angstrom
7.153 0.000 0.000
0.000 7.691 0.000
-6.981 0.000 10.758
! - magnetic moment (μB per formula unit) = 0.000
! - calculated formation energy (kJ/mol of atoms) = -187.3
! - final energy (eV/atom) = -14.0889

=====

# 4
! Na3TmBr6 (meta-GGA r2SCAN, optimized geometry); values from VASP
&SYSTEM
  ibrav = 0, nat = 20, ntyp = 3
/
ATOMIC_SPECIES
Na 22.99 Na.upf
Tm 168.93 Tm.upf
Br 79.90 Br.upf
ATOMIC_POSITIONS crystal
Na 0.000 0.000 0.000
Na 0.000 0.500 0.500
Na 0.206 0.088 0.738
Na 0.206 0.412 0.238
Na 0.794 0.588 0.762
Na 0.794 0.912 0.262
Tm 0.500 0.000 0.500
Tm 0.500 0.500 0.000
Br 0.118 0.179 0.434
Br 0.118 0.321 0.934
Br 0.256 0.694 0.422
Br 0.256 0.806 0.922
Br 0.405 0.059 0.261
Br 0.405 0.441 0.761
Br 0.595 0.559 0.239
Br 0.595 0.941 0.739
Br 0.744 0.194 0.078
Br 0.744 0.306 0.578
Br 0.882 0.679 0.066
Br 0.882 0.821 0.566
CELL_PARAMETERS angstrom
7.135 0.000 0.000
0.000 7.641 0.000
-6.992 0.000 10.668
! - magnetic moment (μB per formula unit) = 0.000
! - calculated formation energy (kJ/mol of atoms) = -186.8
! - final energy (eV/atom) = -14.4731

=====

# 5
! Na2UBr6 (meta-GGA r2SCAN, optimized geometry); values from VASP
&SYSTEM
  ibrav = 0, nat = 27, ntyp = 3
/
ATOMIC_SPECIES
Na 22.99 Na.upf
U 238.03 U.upf
Br 79.90 Br.upf
ATOMIC_POSITIONS crystal
Na 0.000 0.000 0.000
Na 0.000 0.000 0.336
Na 0.993 0.339 0.661
Na 0.997 0.675 0.661
Na 0.997 0.675 0.998
Na 0.999 0.336 0.338
U 0.496 0.004 0.666
U 0.500 0.671 0.332
U 0.998 0.338 0.999
Br 0.237 0.231 0.214
Br 0.238 0.232 0.892
Br 0.238 0.550 0.893
Br 0.251 0.898 0.560
Br 0.253 0.216 0.563
Br 0.253 0.897 0.878
Br 0.259 0.886 0.224
Br 0.263 0.565 0.224
Br 0.263 0.566 0.544
Br 0.735 0.109 0.454
Br 0.735 0.791 0.771
Br 0.736 0.108 0.774
Br 0.741 0.777 0.120
Br 0.741 0.778 0.437
Br 0.746 0.458 0.437
Br 0.758 0.126 0.105
Br 0.759 0.444 0.105
Br 0.760 0.446 0.783
CELL_PARAMETERS angstrom
6.551 0.000 0.000
0.005 12.491 0.000
0.003 6.233 10.837
! - magnetic moment (μB per formula unit) = 2.000
! - calculated formation energy (kJ/mol of atoms) = -167.9
! - final energy (eV/atom) = -20.2536

=====

# 6
! RbNb4Br11 (meta-GGA r2SCAN, optimized geometry); values from VASP
&SYSTEM
  ibrav = 0, nat = 32, ntyp = 3
/
ATOMIC_SPECIES
Rb 85.47 Rb.upf
Nb 92.91 Nb.upf
Br 79.90 Br.upf
ATOMIC_POSITIONS crystal
Rb 0.250 0.000 0.006
Rb 0.750 0.000 0.994
Nb 0.000 0.293 0.500
Nb 0.000 0.707 0.500
Nb 0.139 0.500 0.382
Nb 0.361 0.500 0.382
Nb 0.500 0.293 0.500
Nb 0.500 0.707 0.500
Nb 0.639 0.500 0.618
Nb 0.861 0.500 0.618
Br 0.079 0.245 0.183
Br 0.079 0.755 0.183
Br 0.085 0.000 0.637
Br 0.087 0.500 0.720
Br 0.250 0.264 0.515
Br 0.250 0.500 0.091
Br 0.250 0.736 0.515
Br 0.413 0.500 0.720
Br 0.415 0.000 0.637
Br 0.421 0.245 0.183
Br 0.421 0.755 0.183
Br 0.579 0.245 0.817
Br 0.579 0.755 0.817
Br 0.585 0.000 0.363
Br 0.587 0.500 0.280
Br 0.750 0.264 0.485
Br 0.750 0.500 0.909
Br 0.750 0.736 0.485
Br 0.913 0.500 0.280
Br 0.915 0.000 0.363
Br 0.921 0.245 0.817
Br 0.921 0.755 0.817
CELL_PARAMETERS angstrom
17.040 0.000 0.000
0.000 7.346 0.000
0.000 0.000 7.160
! - magnetic moment (μB per formula unit) = 0.000
! - calculated formation energy (kJ/mol of atoms) = -115.6
! - final energy (eV/atom) = -17.3682

=====

# 7
! Nb3SBr7 (meta-GGA r2SCAN, optimized geometry); values from VASP
&SYSTEM
  ibrav = 0, nat = 11, ntyp = 3
/
ATOMIC_SPECIES
Nb 92.91 Nb.upf
S 32.06 S.upf
Br 79.90 Br.upf
ATOMIC_POSITIONS crystal
Nb 0.199 0.398 0.000
Nb 0.199 0.801 0.000
Nb 0.602 0.801 0.000
S 0.333 0.667 0.264
Br 0.000 0.000 0.785
Br 0.336 0.168 0.221
Br 0.502 0.003 0.740
Br 0.502 0.498 0.740
Br 0.832 0.168 0.221
Br 0.832 0.664 0.221
Br 0.997 0.498 0.740
CELL_PARAMETERS angstrom
7.180 0.000 0.000
-3.590 6.218 0.000
0.000 0.000 6.546
! - magnetic moment (μB per formula unit) = 0.000
! - calculated formation energy (kJ/mol of atoms) = -113.1
! - final energy (eV/atom) = -17.0857

=====

# 8
! Nb3Se5Br7 (meta-GGA r2SCAN, optimized geometry); values from VASP
&SYSTEM
  ibrav = 0, nat = 30, ntyp = 3
/
ATOMIC_SPECIES
Nb 92.91 Nb.upf
Se 78.96 Se.upf
Br 79.90 Br.upf
ATOMIC_POSITIONS crystal
Nb 0.022 0.106 0.057
Nb 0.022 0.394 0.057
Nb 0.397 0.250 0.484
Nb 0.603 0.750 0.516
Nb 0.978 0.606 0.943
Nb 0.978 0.894 0.943
Se 0.182 0.025 0.861
Se 0.182 0.475 0.861
Se 0.271 0.530 0.127
Se 0.271 0.970 0.127
Se 0.421 0.250 0.755
Se 0.579 0.750 0.245
Se 0.729 0.030 0.873
Se 0.729 0.470 0.873
Se 0.818 0.525 0.139
Se 0.818 0.975 0.139
Br 0.054 0.750 0.191
Br 0.139 0.114 0.402
Br 0.139 0.386 0.402
Br 0.183 0.750 0.862
Br 0.287 0.250 0.128
Br 0.398 0.615 0.540
Br 0.398 0.885 0.540
Br 0.602 0.115 0.460
Br 0.602 0.385 0.460
Br 0.713 0.750 0.872
Br 0.817 0.250 0.138
Br 0.861 0.614 0.598
Br 0.861 0.886 0.598
Br 0.946 0.250 0.809
CELL_PARAMETERS angstrom
8.111 0.000 0.000
0.000 13.183 0.000
-2.526 0.000 8.216
! - magnetic moment (μB per formula unit) = 0.000
! - calculated formation energy (kJ/mol of atoms) = -88.1
! - final energy (eV/atom) = -16.8176